! PBE+U LaMoO2, optimized geometry; values from VASP
! Formation energy from the elements: -2034.0 meV per atom
! Space group: No. 141
&SYSTEM
  ibrav = 0, nat = 16, ntyp = 3
/
ATOMIC_SPECIES
La 138.91 La.upf
Mo 95.94 Mo.upf
O 16.00 O.upf
ATOMIC_POSITIONS crystal
La 0.000 0.000 0.000
La 0.000 0.000 0.500
La 0.000 0.500 0.000
La 0.500 0.000 0.500
Mo 0.000 0.500 0.500
Mo 0.500 0.000 0.000
Mo 0.500 0.500 0.000
Mo 0.500 0.500 0.500
O 0.199 0.230 0.531
O 0.199 0.669 0.969
O 0.230 0.199 0.031
O 0.331 0.801 0.531
O 0.669 0.199 0.469
O 0.770 0.801 0.969
O 0.801 0.331 0.031
O 0.801 0.770 0.469
CELL_PARAMETERS angstrom
-3.244 3.244 6.276
3.244 -3.244 6.276
3.244 3.244 -6.276